1.
DFT (PBE) results for an optimized crystal structure of U3Te5Pb8O32.

Results
The calculation puts the calculated volume at 727.4 Å³ per cell. The value obtained for the formation energy is -2.09 eV per atom. For the total DFT energy (no corrections), the calculation gives -315.84 eV/cell. The total magnetization is 0.00 μB/atom.

Cell lengths 5.8762, 15.5962, 7.9377 Å; angles 89.95, 90.38, 89.62 degrees
Closest atoms and distances in Å follow each position.
Positions (direct):
U1 0.9992 0.2508 0.5007  2 O 1.87-1.88
U2 0.0008 0.7492 0.4993  2 O 1.87-1.88
U3 0.0000 0.0000 0.0000  2 O 1.89
Te1 0.0000 0.0000 0.5000  6 O 1.94-1.98
Te2 0.0000 0.5000 0.5000  6 O 1.92-2.08
Te3 0.9963 0.2537 0.0014  6 O 1.92-2.04
Te4 0.0037 0.7463 0.9986  6 O 1.92-2.04
Te5 0.0000 0.5000 0.0000  6 O 1.88-2.10
Pb1 0.4904 0.1663 0.1875  4 O 2.43-2.56
Pb2 0.4850 0.6569 0.1846  4 O 2.41-2.55
Pb3 0.5086 0.4187 0.2927  4 O 2.46-2.64
Pb4 0.5085 0.9153 0.3129  5 O 2.42-2.70
Pb5 0.5150 0.3431 0.8154  4 O 2.41-2.55
Pb6 0.5096 0.8337 0.8125  4 O 2.43-2.56
Pb7 0.4915 0.0847 0.6871  5 O 2.42-2.70
Pb8 0.4914 0.5813 0.7073  4 O 2.46-2.64
O1 0.8732 0.1356 0.0043  1 Te 1.98
O2 0.8780 0.6244 0.0016  2 Te 2.04-2.06
O3 0.1296 0.3839 0.4960  1 Te 1.96
O4 0.1325 0.8837 0.4959  1 Te 1.97
O5 0.1220 0.3756 0.9984  2 Te 2.04-2.06
O6 0.1268 0.8644 0.9957  1 Te 1.98
O7 0.8675 0.1163 0.5041  1 Te 1.97
O8 0.8704 0.6161 0.5040  1 Te 1.96
O9 0.8934 0.4871 0.2505  2 Te 2.08-2.10
O10 0.8894 0.9859 0.2658  1 Te 1.98
O11 0.1102 0.2387 0.2336  1 Te 1.97
O12 0.1132 0.7330 0.2322  1 Te 1.97
O13 0.1106 0.0141 0.7342  1 Te 1.98
O14 0.1066 0.5129 0.7495  2 Te 2.08-2.10
O15 0.8868 0.2670 0.7678  1 Te 1.97
O16 0.8898 0.7613 0.7664  1 Te 1.97
O17 0.7053 0.2835 0.4328  1 U 1.87
O18 0.7053 0.7839 0.4344  1 U 1.88
O19 0.2950 0.0342 0.0650  1 U 1.89
O20 0.2967 0.5302 0.0644  1 Te 1.88
O21 0.2947 0.2161 0.5656  1 U 1.88
O22 0.2947 0.7165 0.5672  1 U 1.87
O23 0.7033 0.4698 0.9356  1 Te 1.88
O24 0.7050 0.9658 0.9350  1 U 1.89
O25 0.2952 0.2165 0.9346  1 Te 1.92
O26 0.3012 0.7068 0.9299  1 Te 1.93
O27 0.7036 0.4589 0.5563  1 Te 1.92
O28 0.7038 0.9585 0.5678  1 Te 1.94
O29 0.6988 0.2932 0.0701  1 Te 1.93
O30 0.7048 0.7835 0.0654  1 Te 1.92
O31 0.2962 0.0415 0.4322  1 Te 1.94
O32 0.2964 0.5411 0.4437  1 Te 1.92

---

2.
DFT (PBE) results for an optimized crystal structure of UTePb2O8.

Results
The calculation puts the calculated volume at 372.7 Å³ per cell. The value obtained for the formation energy is -2.28 eV per atom. For the total DFT energy (no corrections), the calculation gives -166.73 eV/cell. The total magnetization is 0.00 μB/atom.

Cell lengths 5.8656, 7.9045, 8.0387 Å; angles 90.00, 90.62, 90.00 degrees
Closest atoms and distances in Å follow each position.
Positions (direct):
U1 0.5000 0.5000 0.5000  2 O 1.88
U2 0.5000 0.0000 0.0000  2 O 1.88
Te1 0.5000 0.5000 0.0000  6 O 1.94-1.99
Te2 0.5000 0.0000 0.5000  6 O 1.94-1.99
Pb1 0.0047 0.3364 0.8164  4 O 2.39-2.62
Pb2 0.9953 0.8364 0.6836  4 O 2.39-2.62
Pb3 0.9953 0.6636 0.1836  4 O 2.39-2.62
Pb4 0.0047 0.1636 0.3164  4 O 2.39-2.62
O1 0.6273 0.2680 0.9960  1 Te 1.98
O2 0.3727 0.7680 0.5040  1 Te 1.98
O3 0.3727 0.7320 0.0040  1 Te 1.98
O4 0.6273 0.2320 0.4960  1 Te 1.98
O5 0.3905 0.4732 0.7663  1 Te 1.99
O6 0.6095 0.9732 0.7337  1 Te 1.99
O7 0.6095 0.5268 0.2337  1 Te 1.99
O8 0.3905 0.0268 0.2663  1 Te 1.99
O9 0.2044 0.4348 0.4344  1 U 1.88
O10 0.7956 0.9348 0.0656  1 U 1.88
O11 0.7956 0.5652 0.5656  1 U 1.88
O12 0.2044 0.0652 0.9344  1 U 1.88
O13 0.2017 0.4191 0.0657  1 Te 1.94
O14 0.7983 0.9191 0.4343  1 Te 1.94
O15 0.7983 0.5809 0.9343  1 Te 1.94
O16 0.2017 0.0809 0.5657  1 Te 1.94

---

3.
DFT (PBE) results for an optimized crystal structure of Ti5Pb5O14.

Results
The calculation puts the calculated volume at 344.6 Å³ per cell. The value obtained for the formation energy is -2.62 eV per atom. For the total DFT energy (no corrections), the calculation gives -180.57 eV/cell. The total magnetization is 0.00 μB/atom.

Cell lengths 6.0263, 7.1436, 8.6157 Å; angles 77.51, 72.32, 83.51 degrees
Closest atoms and distances in Å follow each position.
Positions (direct):
Ti1 0.7767 0.6976 0.4012  3 O 1.77-1.97
Ti2 0.1636 0.3102 0.5967  4 O 1.78-1.97
Ti3 0.3849 0.0884 0.2051  1 O 1.76
Ti4 0.9870 0.4806 0.0102  1 O 1.75
Ti5 0.6075 0.8682 0.8141  4 O 1.77-1.96
Pb1 0.3583 0.5707 0.2083  5 O 2.51-2.80
Pb2 0.1740 0.7834 0.6152  7 O 2.54-2.74
Pb3 0.5513 0.3473 0.7999  3 O 2.47-2.58
Pb4 0.7311 0.1741 0.4374  3 O 2.47-2.61
Pb5 0.9718 0.9742 0.0169  8 O 2.54-2.84
O1 0.1536 0.9318 0.2815  1 Ti 1.76
O2 0.2403 0.3229 0.0853  2 Ti 1.98-2.02
O3 0.6330 0.9267 0.2884  2 Ti 1.97-2.00
O4 0.0262 0.5292 0.4855  2 Ti 1.89-2.03
O5 0.5367 0.5481 0.4761  1 Ti 1.77
O6 0.7505 0.3314 0.0871  1 Ti 1.75
O7 0.1478 0.4258 0.7836  2 Ti 1.94-2.00
O8 0.3468 0.7434 0.8788  1 Ti 1.77
O9 0.3441 0.2314 0.3874  2 Ti 1.97-1.99
O10 0.9477 0.6337 0.1832  2 Ti 1.97-1.98
O11 0.7403 0.8356 0.5857  2 Ti 1.94-1.99
O12 0.8514 0.7221 0.8881  2 Ti 1.90-2.04
O13 0.9696 0.1206 0.6891  1 Ti 1.78
O14 0.5440 0.0280 0.9826  2 Ti 1.96-1.98

---

4.
DFT (PBE) results for an optimized crystal structure of Ti8Pb8O23.

Results
The calculation puts the calculated volume at 522.9 Å³ per cell. The value obtained for the formation energy is -2.65 eV per atom. For the total DFT energy (no corrections), the calculation gives -294.22 eV/cell. The total magnetization is 0.00 μB/atom.

Cell lengths 3.9534, 11.5124, 12.5462 Å; angles 66.30, 90.00, 90.00 degrees
Closest atoms and distances in Å follow each position.
Positions (direct):
Ti1 0.5000 0.1463 0.7358  3 O 1.81-1.95
Ti2 0.5000 0.3898 0.2405  4 O 1.79-2.00
Ti3 0.5000 0.7647 0.9899  5 O 1.79-2.00
Ti4 0.5000 0.2652 0.9906  4 O 1.79-2.00
Ti5 0.5000 0.5120 0.4923  5 O 1.82-2.00
Ti6 0.5000 0.0142 0.4897  4 O 1.79-2.00
Ti7 0.5000 0.6398 0.7406  4 O 1.80-2.00
Ti8 0.5000 0.8885 0.2401  4 O 1.80-2.00
Pb1 0.0000 0.8767 0.7500  8 O 2.54-2.84
Pb2 0.0000 0.7485 0.5006  8 O 2.54-2.83
Pb3 0.0000 0.3792 0.7506  5 O 2.51-2.79
Pb4 0.0000 0.2516 0.4958  5 O 2.51-2.79
Pb5 0.0000 0.1239 0.2497  6 O 2.53-2.82
Pb6 0.0000 0.6246 0.2509  8 O 2.55-2.84
Pb7 0.0000 0.5006 0.0003  6 O 2.54-2.82
Pb8 0.0000 0.0007 0.9983  6 O 2.53-2.83
O1 0.5000 0.6046 0.5960  2 Ti 1.99-2.01
O2 0.5000 0.9845 0.8438  1 Ti 1.81
O3 0.5000 0.7304 0.8464  2 Ti 1.99
O4 0.5000 0.4786 0.8463  1 Ti 1.80
O5 0.5000 0.8543 0.5968  1 Ti 1.79
O6 0.5000 0.9812 0.3473  2 Ti 1.97-2.03
O7 0.5000 0.7281 0.3476  1 Ti 1.80
O8 0.5000 0.8556 0.0965  2 Ti 1.98-2.00
O9 0.5000 0.6044 0.0968  1 Ti 1.79
O10 0.5000 0.2297 0.8434  2 Ti 1.95-2.05
O11 0.5000 0.4800 0.3470  2 Ti 2.00
O12 0.5000 0.3490 0.6006  1 Ti 1.82
O13 0.5000 0.1073 0.5985  2 Ti 1.95-2.05
O14 0.5000 0.2302 0.3481  1 Ti 1.79
O15 0.5000 0.3549 0.0957  2 Ti 1.97-2.01
O16 0.5000 0.1048 0.0974  1 Ti 1.79
O17 0.0000 0.9180 0.2226  2 Ti 2.00
O18 0.0000 0.2923 0.9687  2 Ti 2.00
O19 0.0000 0.7946 0.9703  2 Ti 2.00
O20 0.0000 0.0448 0.4735  2 Ti 2.00
O21 0.0000 0.5406 0.4728  2 Ti 2.00
O22 0.0000 0.6673 0.7211  2 Ti 2.00
O23 0.0000 0.4180 0.2208  2 Ti 2.00

---

5.
DFT (PBE) results for an optimized crystal structure of Zr4TiPb5O15.

Results
The calculation puts the calculated volume at 732.5 Å³ per cell. The value obtained for the formation energy is -2.58 eV per atom. The calculation puts the energy above the lowest structure with this stoichiometry at 0.234 eV per atom. For the total DFT energy (no corrections), the calculation gives -378.22 eV/cell. The total magnetization is 0.00 μB/atom.

Cell lengths 5.8836, 5.9508, 24.2817 Å; angles 96.62, 89.98, 119.62 degrees
Closest atoms and distances in Å follow each position.
Positions (direct):
Zr1 0.1203 0.9404 0.2999  2 O 1.88-2.06
Zr2 0.5202 0.5384 0.5021  3 O 1.89-2.11
Zr3 0.9209 0.1375 0.7036  3 O 1.89-2.11
Zr4 0.3231 0.7398 0.9059  3 O 1.89-2.11
Zr5 0.7220 0.3411 0.1030  3 O 1.88-2.10
Zr6 0.8202 0.2385 0.4011  3 O 1.88-2.09
Zr7 0.2203 0.8377 0.6029  3 O 1.87-2.09
Zr8 0.6204 0.4369 0.8045  3 O 1.88-2.10
Ti1 0.0237 0.0441 0.0045  3 O 1.75-1.95
Ti2 0.4246 0.6452 0.2023  3 O 1.74-1.94
Pb1 0.1055 0.0550 0.1561  3 O 2.31-2.48
Pb2 0.5015 0.6455 0.3550  3 O 2.35-2.52
Pb3 0.9016 0.2456 0.5574  3 O 2.33-2.53
Pb4 0.3022 0.8455 0.7587  3 O 2.33-2.52
Pb5 0.7057 0.4541 0.9598  3 O 2.28-2.49
Pb6 0.2010 0.9458 0.4569  2 O 2.28-2.49
Pb7 0.6017 0.5453 0.6579  2 O 2.29-2.48
Pb8 0.0029 0.1416 0.8616  2 O 2.29-2.48
Pb9 0.4009 0.7443 0.0573  3 O 2.32-2.59
Pb10 0.7992 0.3472 0.2529  3 O 2.32-2.58
O1 0.2810 0.2614 0.2447  1 Zr 2.27, 1 Pb 2.31, 1 Ti 2.37
O2 0.6837 0.8530 0.4452  2 Zr 2.27-2.41, 1 Pb 2.35
O3 0.0846 0.4514 0.6465  2 Zr 2.27-2.41, 1 Pb 2.33
O4 0.4810 0.0484 0.8482  2 Zr 2.26-2.42, 1 Pb 2.33
O5 0.8785 0.6555 0.0473  1 Zr 2.25, 1 Pb 2.28, 1 Ti 2.40
O6 0.4360 0.0287 0.3556  2 Zr 2.10-2.19
O7 0.8373 0.6278 0.5580  2 Zr 2.11-2.17
O8 0.2393 0.2273 0.7590  2 Zr 2.11-2.17
O9 0.6498 0.8356 0.9596  1 Zr 2.11, 1 Ti 2.13
O10 0.0451 0.4347 0.1568  1 Zr 2.10, 1 Ti 2.17
O11 0.9216 0.0542 0.3426  2 Zr 1.88-1.97
O12 0.3200 0.6565 0.5438  2 Zr 1.89-1.96
O13 0.7195 0.2559 0.7451  2 Zr 1.89-1.96
O14 0.1234 0.8583 0.9483  1 Zr 1.89, 1 Ti 1.93
O15 0.5245 0.4558 0.1461  1 Zr 1.88, 1 Ti 1.94
O16 0.7545 0.7498 0.2416  1 Ti 1.93
O17 0.1789 0.3562 0.4433  2 Zr 2.09-2.18
O18 0.5810 0.9564 0.6444  2 Zr 2.09-2.18
O19 0.9787 0.5523 0.8477  2 Zr 2.10-2.18
O20 0.3542 0.1459 0.0449  1 Ti 1.95
O21 0.2572 0.7299 0.2520  1 Ti 1.74
O22 0.6488 0.3285 0.4571  2 Zr 1.88-1.99
O23 0.0482 0.9276 0.6586  2 Zr 1.87-1.98
O24 0.4454 0.5264 0.8600  2 Zr 1.88-1.99
O25 0.8546 0.1274 0.0543  1 Ti 1.75
O26 0.9176 0.5533 0.3436  2 Zr 2.31-2.39, 1 Pb 2.32
O27 0.3135 0.1520 0.5459  1 Pb 2.28, 2 Zr 2.30-2.39
O28 0.7140 0.7505 0.7473  1 Pb 2.29, 2 Zr 2.30-2.39
O29 0.1176 0.3343 0.9522  1 Ti 2.11, 1 Pb 2.29
O30 0.5188 0.9350 0.1492  1 Ti 2.12, 1 Pb 2.32

---

6.
DFT (PBE) results for an optimized crystal structure of Zr3Ti2Pb5O15.

Results
The calculation puts the calculated volume at 358.5 Å³ per cell. The value obtained for the formation energy is -2.79 eV per atom. The calculation puts the energy above the lowest structure with this stoichiometry at 0.000 eV per atom. For the total DFT energy (no corrections), the calculation gives -193.56 eV/cell. The total magnetization is 0.00 μB/atom.

Cell lengths 9.2021, 9.2021, 7.3010 Å; angles 75.25, 75.25, 37.01 degrees
Closest atoms and distances in Å follow each position.
Positions (direct):
Zr1 0.9986 0.9986 0.9722  4 O 2.03-2.17
Zr2 0.5987 0.5987 0.5716  6 O 2.04-2.27
Zr3 0.2013 0.2013 0.1697  6 O 2.04-2.27
Ti1 0.8019 0.8019 0.7613  4 O 1.89-2.10
Ti2 0.4026 0.4026 0.3622  4 O 1.86-2.08
Pb1 0.7994 0.7994 0.2203  3 O 2.46-2.48
Pb2 0.3937 0.3937 0.8228  3 O 2.43-2.49
Pb3 0.9935 0.9935 0.4371  3 O 2.48-2.51
Pb4 0.6075 0.6075 0.0218  3 O 2.42-2.48
Pb5 0.2084 0.2084 0.6252  3 O 2.43-2.51
O1 0.6979 0.1953 0.2145  1 Ti 1.86
O2 0.3150 0.7906 0.8052  2 Zr 2.03-2.18
O3 0.9150 0.3968 0.4014  2 Zr 2.04-2.18
O4 0.5162 0.9901 0.9926  1 Zr 2.06, 1 Ti 2.17
O5 0.0988 0.5987 0.6061  1 Ti 1.89
O6 0.1953 0.6979 0.2145  1 Ti 1.86
O7 0.7906 0.3150 0.8052  2 Zr 2.03-2.18
O8 0.3968 0.9150 0.4014  2 Zr 2.04-2.18
O9 0.9901 0.5162 0.9926  1 Zr 2.06, 1 Ti 2.17
O10 0.5987 0.0988 0.6061  1 Ti 1.89
O11 0.0923 0.0923 0.1158  2 Zr 2.04-2.17
O12 0.7008 0.7008 0.7103  1 Ti 1.90
O13 0.3020 0.3020 0.3116  1 Ti 1.89
O14 0.8937 0.8937 0.8981  1 Zr 2.04, 1 Ti 2.10
O15 0.4912 0.4912 0.5032  1 Zr 2.07, 1 Ti 2.08